[1]
A plane-wave DFT calculation with PBE was carried out for an optimized crystal structure of ZnNi4.

The space group is R-3m (No. 166, hexagonal axes) and the conventional cell measures 2.5290, 2.5290 and 30.4583 Å, with angles of 90.00, 90.00 and 120.00 degrees. Symmetry generates all atoms from Zn at (0.0000, 0.0000, 0.0000), Ni at (0.0000, 0.0000, 0.1994) and Ni at (0.0000, 0.0000, 0.4013).

The calculated formation energy is -0.029 eV per atom. For the uncorrected energy, the calculation gives -24.526 eV per formula unit.

***

[2]
A plane-wave DFT calculation with PBE was carried out for an optimized crystal structure of Zn22Ni3.

The space group is C2/m (No. 12) and the conventional cell measures 13.366, 7.438 and 7.652 Å, with angles of 90.00, 110.51 and 90.00 degrees. Symmetry generates all atoms from Zn at (0.000, 0.178, 0.000), Zn at (0.024, 0.500, 0.176), Zn at (0.042, 0.198, 0.689), Zn at (0.148, 0.000, 0.273), Zn at (0.157, 0.319, 0.462), Zn at (0.169, 0.500, 0.784), Zn at (0.186, 0.000, 0.624), Zn at (0.192, 0.310, 0.100), Ni at (0.000, 0.500, 0.500) and Ni at (0.158, 0.000, 0.946).

The calculated formation energy is -0.129 eV per atom. For the uncorrected energy, the calculation gives -48.280 eV per formula unit.

***

[3]
A plane-wave DFT calculation with PBE was carried out for an optimized crystal structure of ZnNi.

The space group is C2/m (No. 12) and the conventional cell measures 4.283, 2.908 and 4.034 Å, with angles of 90.00, 102.07 and 90.00 degrees. Symmetry generates all atoms from Zn at (0.000, 0.000, 0.000) and Ni at (0.000, 0.500, 0.500).

The calculated formation energy is -0.129 eV per atom. For the uncorrected energy, the calculation gives -7.298 eV per formula unit.

***

> What is the calculated formation energy in the second record?

-0.129 eV per atom

***

> What is the calculated formation energy in the first record?

-0.029 eV per atom

***

> Look up the uncorrected energy of the first one.

-24.526 eV per formula unit

***

> Look up the calculated formation energy of the first one.

-0.029 eV per atom